VASP calculation (GGA-PBE) on Gd4As2O9 after structural relaxation.

POSCAR file:
```
Gd4As2O9
1.0
7.399 0.000 0.000
0.000 10.925 0.000
-3.627 0.000 11.762
Gd As O
16 8 36
Cartesian
-0.912 1.722 3.054
-2.726 3.740 8.935
-0.871 1.144 6.991
0.943 4.319 1.110
-0.862 6.569 10.716
0.952 9.818 4.835
2.806 1.511 2.749
0.992 3.951 8.630
2.780 6.974 3.132
0.966 9.414 9.013
2.820 1.106 6.927
4.634 4.356 1.046
2.829 6.606 10.651
4.643 9.781 4.770
6.498 7.185 2.827
4.684 9.202 8.707
-0.961 6.681 7.069
0.853 9.706 1.188
-0.937 1.236 10.548
0.877 4.226 4.667
2.895 6.699 7.094
4.709 9.688 1.214
2.919 1.218 10.574
4.733 4.244 4.693
-2.694 7.922 10.518
-0.881 8.466 4.638
-2.710 1.735 10.650
-0.896 3.727 4.769
-0.879 0.440 4.880
-2.692 5.023 10.761
0.830 0.129 2.412
-0.983 5.333 8.293
0.823 5.573 3.419
-0.991 10.814 9.300
-0.653 7.997 8.235
1.161 8.390 2.354
-0.662 2.535 9.344
1.152 2.928 3.463
1.009 2.528 6.908
2.822 2.934 1.027
2.792 5.883 1.126
0.979 10.504 7.007
2.793 0.421 4.755
0.980 5.042 10.636
0.950 7.990 10.734
2.763 8.397 4.854
2.620 7.997 8.299
4.434 8.390 2.418
2.611 2.534 9.408
4.425 2.928 3.527
4.763 0.111 2.462
2.949 5.351 8.343
4.755 5.591 3.469
2.942 10.796 9.350
6.464 5.902 1.001
4.651 10.485 6.882
4.668 7.197 6.993
6.482 9.190 1.112
4.653 2.459 7.124
6.466 3.003 1.243
```

Output
The corrected total energy (MP2020 scheme) is -10.489 eV/atom. The calculation puts the total magnetization at 28.00 μB per formula unit.



VASP calculation (GGA-PBE) on FeS2 after structural relaxation.

POSCAR file:
```
FeS2
1.0
3.257 1.880 5.509
-3.257 1.880 5.509
0.000 -3.761 5.509
Fe S
4 8
Cartesian
0.000 0.000 0.000
-3.257 0.000 8.264
-1.629 0.940 2.755
1.629 0.940 2.755
-1.709 -0.987 9.605
0.000 0.000 4.028
0.000 -1.973 6.922
-1.709 0.987 6.922
1.709 -0.987 9.605
0.000 1.973 9.605
0.000 0.000 12.499
1.709 0.987 6.922
```

Output
The corrected total energy (MP2020 scheme) is -6.178 eV/atom. The calculation puts the total magnetization at 1.85 μB per formula unit.



VASP calculation (GGA-PBE) on Li6FeCl8 after structural relaxation.

POSCAR file:
```
Li6FeCl8
1.0
0.000 5.161 5.161
5.161 0.000 5.161
5.161 5.161 0.000
Li Fe Cl
6 1 8
Cartesian
2.581 2.581 0.000
2.581 0.000 2.581
5.161 2.581 2.581
0.000 2.581 2.581
2.581 5.161 2.581
2.581 2.581 5.161
0.000 0.000 0.000
5.161 5.161 2.478
5.161 2.478 5.161
7.844 5.161 5.161
2.581 2.581 2.581
7.742 7.742 7.742
2.478 5.161 5.161
5.161 7.844 5.161
5.161 5.161 7.844
```

Output
The corrected total energy (MP2020 scheme) is -4.217 eV/atom. The calculation puts the total magnetization at 4.00 μB per formula unit.



VASP calculation (GGA-PBE) on Ti3NbCu3O12 after structural relaxation.

POSCAR file:
```
Ti3NbCu3O12
1.0
5.293 3.056 2.139
-5.293 3.056 2.139
0.000 -6.112 2.139
Ti Nb Cu O
3 1 3 12
Cartesian
-2.647 -1.528 2.139
-2.647 1.528 4.277
0.000 3.056 2.139
0.000 0.000 0.000
-5.293 0.000 3.208
-2.647 1.528 1.069
2.647 1.528 1.069
-0.952 -1.383 1.113
-2.611 0.409 2.637
-0.721 1.516 1.113
-1.660 -2.057 3.779
1.673 -0.133 1.113
0.952 -2.466 2.637
-0.952 2.466 3.779
-1.673 0.133 5.303
1.660 2.057 2.637
0.721 -1.516 5.303
2.611 -0.409 3.779
0.952 1.383 5.303
```

Output
The corrected total energy (MP2020 scheme) is -8.008 eV/atom. The calculation puts the total magnetization at 1.98 μB per formula unit.



VASP calculation (GGA-PBE) on Mg11C2N10 after structural relaxation.

POSCAR file:
```
Mg11C2N10
1.0
13.141 0.000 0.000
0.000 13.141 0.000
0.000 0.000 3.176
Mg C N
22 4 20
Cartesian
0.000 0.000 0.000
0.183 2.714 1.588
1.262 8.082 1.588
1.511 5.309 0.000
2.113 11.028 0.000
2.714 0.183 1.588
3.857 6.754 0.000
4.457 4.457 1.588
5.060 11.879 1.588
5.309 1.511 0.000
6.387 9.285 0.000
6.571 6.571 1.588
6.754 3.857 0.000
7.833 11.630 0.000
8.082 1.262 1.588
8.684 8.684 1.588
9.285 6.387 0.000
10.427 12.958 1.588
11.028 2.113 0.000
11.630 7.833 0.000
11.879 5.060 1.588
12.958 10.427 1.588
2.508 2.508 0.000
4.063 9.079 1.588
9.079 4.063 1.588
10.633 10.633 0.000
0.246 8.996 0.000
1.132 12.010 1.588
1.633 1.633 0.000
2.425 6.325 1.588
3.193 9.948 1.588
3.377 3.377 0.000
4.145 12.896 0.000
4.938 8.204 1.588
5.439 5.439 0.000
6.325 2.425 1.588
6.816 10.716 1.588
7.702 7.702 0.000
8.204 4.938 1.588
8.996 0.246 0.000
9.764 9.764 0.000
9.948 3.193 1.588
10.716 6.816 1.588
11.508 11.508 0.000
12.010 1.132 1.588
12.896 4.145 0.000
```

Output
The corrected total energy (MP2020 scheme) is -5.952 eV/atom. The calculation puts the total magnetization at 0.00 μB per formula unit.



VASP calculation (GGA-PBE) on LiSiBiO4 after structural relaxation.

POSCAR file:
```
LiSiBiO4
1.0
9.550 0.000 0.000
0.000 7.023 0.000
-9.399 0.000 16.731
Li Si Bi O
12 12 12 48
Cartesian
-2.329 1.053 4.154
-7.029 2.459 12.519
7.179 4.564 4.212
2.480 5.971 12.578
-2.424 7.023 9.713
2.276 3.512 1.347
-2.348 3.593 9.779
2.352 6.942 1.413
-2.201 0.081 15.318
2.498 3.430 6.953
2.575 0.000 7.018
-2.125 3.511 15.384
-8.428 5.258 15.515
-3.729 5.277 7.149
-3.874 5.228 12.306
0.825 5.307 3.941
-5.106 1.734 15.188
-0.407 1.778 6.822
0.557 5.245 9.909
5.257 5.290 1.543
-0.675 1.716 12.790
4.025 1.795 4.425
3.879 1.746 9.582
8.579 1.766 1.216
-8.068 1.717 15.644
-3.368 1.795 7.278
-3.807 1.731 12.033
0.892 1.781 3.667
-4.871 5.219 15.142
-0.171 5.316 6.776
0.322 1.707 9.955
5.021 1.804 1.589
-0.742 5.242 13.064
3.958 5.293 4.698
3.519 5.228 9.453
8.219 5.307 1.087
-1.152 1.584 2.838
-5.852 1.928 11.203
-3.991 1.611 9.508
0.708 1.900 1.143
-3.135 3.994 7.978
-7.834 6.541 16.344
-7.630 3.949 16.095
-2.930 6.586 7.730
-6.319 1.748 14.092
-1.620 1.763 5.726
-5.396 5.199 12.928
-0.697 5.336 4.562
1.117 3.988 3.009
-3.583 6.547 11.375
-3.491 3.925 11.390
1.209 6.610 3.024
-6.019 1.706 16.615
-1.320 1.805 8.249
-4.142 0.420 15.058
0.557 3.091 6.693
0.579 0.466 6.762
-4.121 3.046 15.128
-2.994 5.228 13.757
1.705 5.307 5.391
-1.555 1.716 11.340
3.145 1.795 2.974
4.271 3.977 1.604
-0.428 6.558 9.969
-0.407 3.932 10.038
4.293 6.603 1.673
1.471 5.218 8.482
6.170 5.317 0.116
-1.058 0.413 13.707
3.642 3.098 5.341
3.734 0.477 5.356
-0.966 3.035 13.722
0.847 1.688 12.169
5.547 1.824 3.803
1.770 5.260 11.005
6.470 5.275 2.640
3.081 0.437 9.001
7.781 3.075 0.636
7.985 0.483 0.388
3.285 3.029 8.753
-0.558 5.123 15.588
4.142 5.412 7.223
6.003 5.096 5.528
1.303 5.439 13.893
```

Output
The corrected total energy (MP2020 scheme) is -6.908 eV/atom. For the energy relative to the lowest polymorph listed for this composition, the calculation gives 48 meV per atom. The calculation puts the total magnetization at 0.00 μB per formula unit.



VASP calculation (GGA-PBE) on Ce2Sb4Ir3 after structural relaxation.

POSCAR file:
```
Ce2Sb4Ir3
1.0
16.306 0.000 0.000
0.000 4.568 0.000
0.000 0.000 10.967
Ce Sb Ir
8 16 12
Cartesian
0.084 1.142 2.688
4.082 1.142 0.974
4.071 3.426 6.457
8.069 3.426 8.171
8.237 1.142 2.796
12.235 1.142 4.510
12.224 3.426 9.993
16.222 3.426 8.279
1.109 3.426 4.894
1.729 3.426 0.690
2.451 1.142 8.492
3.452 1.142 4.255
4.701 3.426 9.739
5.702 3.426 3.008
6.424 1.142 6.173
7.045 1.142 10.377
9.262 3.426 0.589
9.883 3.426 4.794
10.604 1.142 7.958
11.605 1.142 1.228
12.854 3.426 6.712
13.855 3.426 2.475
14.577 1.142 10.277
15.198 1.142 6.073
0.917 1.142 10.612
1.513 1.142 6.097
2.990 3.426 3.008
5.163 1.142 8.492
6.640 3.426 0.613
7.236 3.426 5.129
9.070 1.142 5.838
9.666 1.142 10.353
11.143 3.426 2.475
13.316 1.142 7.958
14.793 3.426 4.870
15.389 3.426 0.354
```

Output
The calculation puts the total magnetization at 0.34 μB per formula unit. The value obtained for the total energy is -244.37 eV/cell.



VASP calculation (GGA-PBE) on Na3Mg8Ta4P3S15O72 after structural relaxation.

POSCAR file:
```
Na3Mg8Ta4P3S15O72
1.0
8.681 0.000 0.000
-4.335 7.523 0.000
-0.020 -0.021 22.618
Na Mg Ta P S O
3 8 4 3 15 72
Cartesian
0.000 0.000 0.000
0.008 0.013 11.398
-0.009 5.069 3.817
-0.015 0.049 14.656
-0.007 5.001 11.793
-0.026 5.051 7.111
0.019 5.037 0.458
4.338 2.497 10.796
4.327 2.486 22.091
4.340 7.483 3.328
8.626 0.024 19.261
-0.027 4.968 18.393
4.377 2.499 15.511
4.384 2.516 4.306
4.300 7.475 7.979
-1.236 2.117 16.957
-3.017 5.383 5.586
1.835 7.450 5.584
-2.551 5.026 20.774
-1.271 2.858 9.421
1.226 2.190 5.613
2.488 -0.007 16.958
1.248 2.797 20.781
-1.232 7.206 9.430
3.070 0.339 1.852
1.813 2.492 13.139
2.491 4.965 9.429
1.269 7.184 20.768
3.092 4.694 1.844
5.609 0.305 13.129
3.087 5.350 16.955
6.877 2.505 1.845
5.591 4.715 13.135
-0.613 1.443 9.212
-3.362 6.224 20.524
-3.288 6.216 4.375
-0.609 1.607 15.695
-1.004 3.615 8.206
-1.641 4.778 13.070
-1.002 3.743 1.801
-1.627 4.854 19.515
-0.606 3.379 10.621
-1.683 5.246 21.925
-1.561 5.108 5.833
-0.687 3.589 17.245
-2.780 7.366 9.210
0.631 1.486 20.554
0.662 1.585 4.421
-2.610 7.238 15.755
1.616 0.221 2.033
0.997 1.282 13.348
1.040 1.324 6.843
1.719 0.242 18.164
-1.122 6.362 10.626
0.613 3.438 21.927
0.698 3.524 5.835
-0.911 6.343 17.195
0.938 3.683 19.521
-0.698 6.605 8.218
-0.608 6.538 1.800
1.018 3.709 13.064
3.336 1.155 0.670
2.680 2.280 11.987
2.737 2.283 5.450
3.404 1.180 16.723
3.626 1.027 9.610
2.718 2.652 14.398
3.673 1.026 3.098
2.698 2.739 20.843
1.617 4.784 1.796
0.602 6.541 13.063
0.670 6.480 19.517
1.716 4.825 8.206
0.915 6.290 5.834
1.600 5.152 17.193
1.023 6.328 21.927
1.711 5.300 10.624
4.948 0.958 20.846
3.385 3.832 3.088
5.006 1.016 14.394
3.416 3.862 9.600
3.630 3.952 16.720
3.675 4.056 0.665
5.299 1.256 5.417
5.371 1.178 11.991
3.254 6.142 15.752
2.694 7.323 4.369
2.723 7.284 20.564
3.404 6.255 9.238
3.708 5.872 18.160
7.056 0.183 13.358
3.707 6.019 2.008
7.072 0.231 6.875
4.916 3.983 5.415
5.897 2.381 16.669
4.965 4.072 11.991
6.029 2.314 0.674
5.276 3.832 14.399
5.985 2.627 9.600
5.969 2.684 3.098
5.351 3.801 20.842
7.575 1.321 18.221
4.961 6.019 13.388
4.961 6.034 6.870
7.716 1.318 2.042
```

Output
The corrected total energy (MP2020 scheme) is -7.176 eV/atom. The calculation puts the total magnetization at 0.00 μB per formula unit.